Model A:
This record from the Materials Project describes crystalline Eu at its relaxed geometry. The functional is r2SCAN.

Calculated values
SG: Cmcm (63)
size of the total moment: 16.10 μB/cell

a b c (Å): 4.0121 4.0121 6.3407
angles (deg): 90.00 90.00 120.30
Last column: nearest neighbours and their distance in Å.
Fractional coordinates of all 2 atoms:
Eu (0.8369, 0.1631, 0.7500)  12 Eu 3.90-4.01
Eu (0.1631, 0.8369, 0.2500)  12 Eu 3.90-4.01

Model B:
This record from the Materials Project describes crystalline Eu at its relaxed geometry. The functional is r2SCAN.

Calculated values
SG: Fm-3m (225)
size of the total moment: 8.20 μB/cell

a b c (Å): 3.9447 3.9447 3.9447
angles (deg): 60.00 60.00 60.00
Last column: nearest neighbours and their distance in Å.
Fractional coordinates of all 1 atoms:
Eu (0.0000, 0.0000, 0.0000)  12 Eu 3.94

Model C:
This record from the Materials Project describes crystalline Eu at its relaxed geometry. The functional is r2SCAN.

Calculated values
SG: P-6m2 (187)
size of the total moment: 32.30 μB/cell

a b c (Å): 3.9831 3.9831 12.7662
angles (deg): 90.00 90.00 120.00
Last column: nearest neighbours and their distance in Å.
Fractional coordinates of all 4 atoms:
Eu (0.0000, 0.0000, 0.9998)  12 Eu 3.93-3.98
Eu (0.3333, 0.6667, 0.2499)  12 Eu 3.93-3.98
Eu (0.0000, 0.0000, 0.5002)  12 Eu 3.93-3.98
Eu (0.6667, 0.3333, 0.7501)  12 Eu 3.93-3.98

Most stable structure: model A